# 1
Entry from Materials Project: a relaxed structure of BaGdFe4O7 (PBE+U).

The structure in POSCAR format:
```
BaGdFe4O7
1.0
3.2405 -5.7112 0.0000
3.2405 5.7112 0.0000
0.0000 0.0000 10.6305
Gd O Fe Ba
2 14 8 2
direct
0.3393 0.6607 0.8731 Gd
0.6607 0.3393 0.3731 Gd
0.0077 0.9923 0.2420 O
0.5183 0.0020 0.7454 O
0.3395 0.1322 0.5008 O
0.5213 0.4787 0.7832 O
0.9980 0.4817 0.7454 O
0.8678 0.6605 0.5008 O
0.4787 0.5213 0.2832 O
0.8352 0.1648 0.5004 O
0.9923 0.0077 0.7420 O
0.0020 0.5183 0.2454 O
0.1322 0.3395 0.0008 O
0.6605 0.8678 0.0008 O
0.1648 0.8352 0.0004 O
0.4817 0.9980 0.2454 O
0.3468 0.1755 0.6862 Fe
0.1667 0.8333 0.1795 Fe
0.1755 0.3468 0.1862 Fe
0.8333 0.1667 0.6795 Fe
0.8245 0.6532 0.6862 Fe
0.9947 0.0053 0.9404 Fe
0.0053 0.9947 0.4404 Fe
0.6532 0.8245 0.1862 Fe
0.3068 0.6932 0.4797 Ba
0.6932 0.3068 0.9797 Ba
```

Properties
crystal system	orthorhombic
formation energy	-28.6	eV/f.u.
calculated density	5.317	Mg/m³
total magnetic moment	1.85	μB per atom
space-group type	Cmc2_1


# 2
Entry from Materials Project: a relaxed structure of Ba2FeGe2O7 (PBE+U).

The structure in POSCAR format:
```
Ba2FeGe2O7
1.0
8.6109 0.0000 0.0000
0.0000 8.6109 0.0000
0.0000 0.0000 11.1518
Ba O Fe Ge
8 28 4 8
direct
0.6662 0.8338 0.9960 Ba
0.6662 0.8338 0.4960 Ba
0.1662 0.6662 0.0040 Ba
0.3338 0.1662 0.9960 Ba
0.8338 0.3338 0.5040 Ba
0.8338 0.3338 0.0040 Ba
0.3338 0.1662 0.4960 Ba
0.1662 0.6662 0.5040 Ba
0.0790 0.1877 0.8420 O
0.5000 0.0000 0.6691 O
0.8638 0.6362 0.6121 O
0.3123 0.4210 0.8420 O
0.1877 0.9211 0.1580 O
0.0000 0.5000 0.8309 O
0.1362 0.3638 0.6121 O
0.6877 0.5789 0.8420 O
0.5789 0.3123 0.1580 O
0.1362 0.3638 0.1121 O
0.8638 0.6362 0.1121 O
0.8123 0.0789 0.1580 O
0.9210 0.8123 0.8420 O
0.0000 0.5000 0.3309 O
0.6877 0.5790 0.3420 O
0.6362 0.1362 0.8879 O
0.4211 0.6877 0.1580 O
0.3638 0.8638 0.3879 O
0.8123 0.0789 0.6580 O
0.4211 0.6877 0.6580 O
0.1877 0.9211 0.6580 O
0.6362 0.1362 0.3879 O
0.9211 0.8123 0.3420 O
0.5000 0.0000 0.1691 O
0.3123 0.4210 0.3420 O
0.5789 0.3123 0.6580 O
0.3638 0.8638 0.8879 O
0.0790 0.1877 0.3420 O
0.5000 0.5001 0.2500 Fe
0.9999 0.0000 0.2500 Fe
0.5000 0.4999 0.7500 Fe
0.0000 0.0001 0.7500 Fe
0.6388 0.1388 0.2315 Ge
0.6388 0.1388 0.7315 Ge
0.1388 0.3612 0.7685 Ge
0.3612 0.8612 0.2315 Ge
0.3612 0.8612 0.7315 Ge
0.8612 0.6388 0.2685 Ge
0.1388 0.3612 0.2685 Ge
0.8612 0.6388 0.7685 Ge
```

Properties
formation energy	-30.4	eV/f.u.
calculated density	4.721	Mg/m³


# 3
Entry from Materials Project: a relaxed structure of Ba3Fe2Ge4O14 (PBE+U).

The structure in POSCAR format:
```
Ba3Fe2Ge4O14
1.0
-5.0921 -4.6822 5.2236
3.3437 -6.4041 4.7901
0.9008 3.3983 4.0314
Ba O Ge Fe
3 14 4 2
direct
0.4181 0.9962 0.0042 Ba
0.0038 0.5819 0.9958 Ba
0.5749 0.4251 0.0000 Ba
0.2988 0.5289 0.6575 O
0.5387 0.1553 0.6457 O
0.7066 0.8350 0.3501 O
0.4711 0.7012 0.3425 O
0.1650 0.2934 0.6499 O
0.8447 0.4613 0.3543 O
0.2159 0.9042 0.7751 O
0.8843 0.2219 0.7585 O
0.7781 0.1157 0.2415 O
0.8933 0.8920 0.7495 O
0.1080 0.1067 0.2505 O
0.0958 0.7841 0.2249 O
0.6707 0.6656 0.8140 O
0.3344 0.3293 0.1860 O
0.3342 0.3323 0.5085 Ge
0.6677 0.6658 0.4915 Ge
0.7550 0.9985 0.4937 Ge
0.0015 0.2450 0.5063 Ge
0.2362 0.7638 0.5000 Fe
0.0030 0.9970 0.0000 Fe
```

Properties
crystal system	monoclinic
formation energy	-55.3	eV/f.u.
calculated density	4.972	Mg/m³
total magnetic moment	0.43	μB per atom
space-group type	C2


# 4
Entry from Materials Project: a relaxed structure of BaFeP3H2O11 (PBE+U).

The structure in POSCAR format:
```
BaFeP3H2O11
1.0
0.0764 -0.0043 6.9739
7.7402 -0.0308 -0.8449
-2.7811 8.2051 -1.7473
O P H Ba Fe
22 6 4 2 2
direct
0.4101 0.8340 0.8597 O
0.9553 0.2957 0.7735 O
0.7385 0.4157 0.0478 O
0.6254 0.0753 0.6785 O
0.3745 0.9242 0.3215 O
0.6617 0.3314 0.5652 O
0.0462 0.7027 0.2240 O
0.3320 0.6716 0.4381 O
0.9909 0.9452 0.8505 O
0.2765 0.2725 0.3624 O
0.3739 0.4966 0.6887 O
0.1445 0.9351 0.5120 O
0.7191 0.7211 0.6308 O
0.1465 0.3342 0.0966 O
0.6236 0.5010 0.3086 O
0.0671 0.6428 0.6949 O
0.9998 0.0487 0.1396 O
0.8517 0.6592 0.8983 O
0.8457 0.0712 0.4828 O
0.5861 0.1650 0.1362 O
0.2609 0.5837 0.9498 O
0.9310 0.3546 0.3007 O
0.7080 0.3542 0.1954 P
0.2164 0.8032 0.3764 P
0.7790 0.2028 0.6269 P
0.8984 0.7391 0.7683 P
0.2905 0.6440 0.8016 P
0.0949 0.2499 0.2239 P
0.3468 0.0507 0.3349 H
0.9816 0.0126 0.4996 H
0.9954 0.9942 0.9829 H
0.6521 0.9482 0.6616 H
0.3303 0.1690 0.8378 Ba
0.6684 0.8304 0.1563 Ba
0.0025 0.5015 0.0036 Fe
0.4936 0.4985 0.4955 Fe
```

Properties
crystal system	triclinic
formation energy	-45.1	eV/f.u.
calculated density	3.481	Mg/m³
total magnetic moment	0.28	μB per atom
space-group type	P1


# 5
Entry from Materials Project: a relaxed structure of Ba2Fe3P6HO22 (PBE+U).

The structure in POSCAR format:
```
Ba2Fe3P6HO22
1.0
-0.3991 3.5611 -3.3708
-6.9321 -2.8645 -2.7893
-5.8212 6.5127 7.3615
O Fe P Ba H
22 3 6 2 1
direct
0.0786 0.3189 0.8764 O
0.2714 0.8844 0.0704 O
0.4085 0.5651 0.0870 O
0.3087 0.0849 0.5928 O
0.5443 0.6555 0.3127 O
0.9214 0.6811 0.1236 O
0.7286 0.1156 0.9296 O
0.7690 0.2033 0.5397 O
0.1410 0.6788 0.9179 O
0.5084 0.6995 0.7365 O
0.4557 0.3445 0.6873 O
0.2310 0.7967 0.4603 O
0.8590 0.3212 0.0821 O
0.0208 0.4344 0.3101 O
0.5915 0.4349 0.9130 O
0.1315 0.1220 0.3488 O
0.6733 0.6468 0.5269 O
0.4916 0.3005 0.2635 O
0.6913 0.9151 0.4072 O
0.3267 0.3532 0.4731 O
0.9792 0.5656 0.6899 O
0.8685 0.8780 0.6512 O
0.2754 0.5065 0.7949 Fe
0.0000 0.0000 0.5000 Fe
0.7246 0.4935 0.2051 Fe
0.8155 0.2959 0.9488 P
0.2371 0.3008 0.3434 P
0.4745 0.2428 0.5755 P
0.7629 0.6992 0.6566 P
0.5255 0.7572 0.4245 P
0.1845 0.7041 0.0512 P
0.7325 0.0048 0.1754 Ba
0.2675 0.9952 0.8246 Ba
0.5000 0.5000 0.0000 H
```

Properties
crystal system	triclinic
formation energy	-89.4	eV/f.u.
calculated density	3.627	Mg/m³
total magnetic moment	0.44	μB per atom
space-group type	P-1


# 6
Entry from Materials Project: a relaxed structure of BaFePHO5 (PBE+U).

The structure in POSCAR format:
```
BaFePHO5
1.0
-5.0346 0.0416 0.8466
-0.9005 -7.3745 -4.9931
1.3321 -5.7167 8.2030
O P H Ba Fe
20 4 4 4 4
direct
0.5243 0.1869 0.5586 O
0.3234 0.9459 0.3872 O
0.4578 0.7470 0.6203 O
0.8234 0.5541 0.6128 O
0.4757 0.6869 0.9414 O
0.9757 0.8131 0.0586 O
0.0544 0.4638 0.9503 O
0.1766 0.0541 0.8872 O
0.0243 0.3131 0.4414 O
0.5544 0.0362 0.0497 O
0.3710 0.4862 0.7009 O
0.4456 0.5362 0.4503 O
0.0422 0.2530 0.1203 O
0.5422 0.2470 0.8797 O
0.8710 0.0138 0.2991 O
0.6290 0.9862 0.7991 O
0.1290 0.5138 0.2009 O
0.6766 0.4459 0.1128 O
0.9578 0.7530 0.3797 O
0.9456 0.9638 0.5497 O
0.4775 0.0785 0.9041 P
0.0225 0.9215 0.4041 P
0.5225 0.5785 0.5959 P
0.9775 0.4215 0.0959 P
0.3599 0.2397 0.5410 H
0.6401 0.7397 0.9590 H
0.8599 0.2603 0.4590 H
0.1401 0.7603 0.0410 H
0.9647 0.2664 0.7185 Ba
0.0353 0.7664 0.7815 Ba
0.5353 0.7336 0.2185 Ba
0.4647 0.2336 0.2815 Ba
0.0275 0.5355 0.4223 Fe
0.9725 0.0355 0.0777 Fe
0.4725 0.4645 0.9223 Fe
0.5275 0.9645 0.5777 Fe
```

Properties
crystal system	orthorhombic
formation energy	-22.5	eV/f.u.
calculated density	4.397	Mg/m³
total magnetic moment	0.44	μB per atom
space-group type	P2_12_12_1


# 7
Entry from Materials Project: a relaxed structure of Ba2FeP4HO14 (PBE+U).

The structure in POSCAR format:
```
Ba2FeP4HO14
1.0
-1.4747 2.9321 -3.6965
7.0196 -2.2822 -2.2163
-5.8316 -6.7223 -1.1757
O H Ba P Fe
14 1 2 4 1
direct
0.2373 0.2935 0.2908 O
0.0534 0.5295 0.1895 O
0.2462 0.6768 0.5017 O
0.8073 0.1641 0.0517 O
0.7220 0.6292 0.3740 O
0.7609 0.3455 0.5052 O
0.2088 0.8382 0.9481 O
0.8603 0.1273 0.6498 O
0.1178 0.8784 0.3449 O
0.2771 0.3785 0.6346 O
0.9364 0.4751 0.8139 O
0.7492 0.7198 0.7253 O
0.3008 0.3183 0.0172 O
0.7289 0.6877 0.9982 O
0.7376 0.5842 0.0384 H
0.6079 0.9893 0.2441 Ba
0.3826 0.0502 0.7670 Ba
0.0328 0.6824 0.3595 P
0.1050 0.3124 0.1293 P
0.9636 0.3254 0.6428 P
0.9160 0.6916 0.8679 P
0.4934 0.5053 0.4999 Fe
```

Properties
crystal system	triclinic
formation energy	-60.6	eV/f.u.
calculated density	3.714	Mg/m³
total magnetic moment	0.23	μB per atom
space-group type	P1


# 8
Entry from Materials Project: a relaxed structure of Ba2V2FeHO9 (PBE+U).

The structure in POSCAR format:
```
Ba2V2FeHO9
1.0
-2.9580 5.1998 -1.8700
2.6478 3.8506 6.5189
5.8182 0.7034 -7.2477
O Ba H V Fe
18 4 2 4 2
direct
0.9700 0.5012 0.7068 O
0.4700 0.4988 0.2932 O
0.2500 0.5497 0.0514 O
0.2500 0.1907 0.0494 O
0.4869 0.0028 0.2175 O
0.7500 0.7317 0.5425 O
0.2500 0.8246 0.9313 O
0.5300 0.5012 0.7068 O
0.0300 0.4988 0.2932 O
0.2500 0.2683 0.4575 O
0.2500 0.9210 0.4453 O
0.7500 0.8093 0.9506 O
0.7500 0.0790 0.5547 O
0.0131 0.0028 0.2175 O
0.7500 0.4503 0.9486 O
0.9869 0.9972 0.7825 O
0.5131 0.9972 0.7825 O
0.7500 0.1754 0.0687 O
0.2500 0.6799 0.5895 Ba
0.7500 0.7352 0.2457 Ba
0.2500 0.2648 0.7543 Ba
0.7500 0.3201 0.4105 Ba
0.7500 0.2654 0.0194 H
0.2500 0.7346 0.9806 H
0.7500 0.9543 0.6668 V
0.7500 0.5649 0.8270 V
0.2500 0.4351 0.1730 V
0.2500 0.0457 0.3332 V
0.0000 0.0000 0.0000 Fe
0.5000 0.0000 0.0000 Fe
```

Properties
crystal system	monoclinic
formation energy	-38.5	eV/f.u.
calculated density	4.444	Mg/m³
total magnetic moment	0.33	μB per atom
space-group type	P2_1/m


# 9
Entry from Materials Project: a relaxed structure of BaHoFe4O7 (PBE+U).

The structure in POSCAR format:
```
BaHoFe4O7
1.0
3.4028 -0.7827 -5.4402
4.6351 -3.2902 3.0787
-6.1992 -1.7951 0.3683
O Fe Ba Ho
7 4 1 1
direct
0.2738 0.1756 0.4963 O
0.2225 0.7262 0.9018 O
0.2446 0.2446 0.0000 O
0.8244 0.3207 0.0982 O
0.7554 0.7554 0.0000 O
0.6793 0.7775 0.5037 O
0.7500 0.2500 0.5000 O
0.1396 0.3518 0.7315 Fe
0.6482 0.3797 0.7878 Fe
0.6203 0.4081 0.2685 Fe
0.5919 0.8604 0.2122 Fe
0.2500 0.7500 0.5000 Ba
0.0000 0.0000 0.0000 Ho
```

Properties
distance to the lowest polymorph of the same formula	5.0	kJ per mole of atoms
crystal system	tetragonal
formation energy	-28.5	eV/f.u.
calculated density	5.656	Mg/m³
total magnetic moment	1.31	μB per atom
space-group type	I-4


# 10
Entry from Materials Project: a relaxed structure of BaHoFe4O7 (PBE+U).

The structure in POSCAR format:
```
BaHoFe4O7
1.0
-7.6197 4.4345 3.1140
-3.4155 -2.6688 -4.5569
-1.3962 -5.0194 3.7315
Ho Ba Fe O
2 2 8 14
direct
0.7526 0.2546 0.7493 Ho
0.2526 0.7454 0.2507 Ho
0.5026 0.2398 0.2675 Ba
0.0026 0.7602 0.7325 Ba
0.1214 0.2307 0.9937 Fe
0.1261 0.2713 0.5006 Fe
0.8684 0.9955 0.2676 Fe
0.3579 0.4779 0.7821 Fe
0.6261 0.7287 0.4994 Fe
0.3684 0.0045 0.7324 Fe
0.8579 0.5221 0.2179 Fe
0.6214 0.7693 0.0063 Fe
0.7318 0.0498 0.0494 O
0.2269 0.5453 0.5458 O
0.7747 0.9674 0.5355 O
0.2763 0.4438 0.0637 O
0.2318 0.9502 0.9506 O
0.4911 0.7639 0.2508 O
0.7763 0.5562 0.9363 O
0.9896 0.2455 0.2539 O
0.2747 0.0326 0.4645 O
0.9911 0.2361 0.7492 O
0.5015 0.2388 0.7414 O
0.0015 0.7612 0.2586 O
0.7269 0.4547 0.4542 O
0.4896 0.7545 0.7461 O
```

Properties
distance to the lowest polymorph of the same formula	0.0	kJ per mole of atoms
crystal system	monoclinic
formation energy	-29.1	eV/f.u.
calculated density	5.622	Mg/m³
total magnetic moment	0.54	μB per atom
space-group type	P2_1


# 11
Entry from Materials Project: a relaxed structure of BaHoFe4O7 (PBE+U).

The structure in POSCAR format:
```
BaHoFe4O7
1.0
0.0000 4.5887 4.5887
4.5887 0.0000 4.5887
4.5887 4.5887 0.0000
O Fe Ba Ho
7 4 1 1
direct
0.7540 0.7540 0.2460 O
0.2500 0.2500 0.2500 O
0.2460 0.7540 0.2460 O
0.2460 0.7540 0.7540 O
0.7540 0.2460 0.2460 O
0.7540 0.2460 0.7540 O
0.2460 0.2460 0.7540 O
0.8542 0.3819 0.3819 Fe
0.3819 0.8542 0.3819 Fe
0.3819 0.3819 0.8542 Fe
0.3819 0.3819 0.3819 Fe
0.7500 0.7500 0.7500 Ba
0.0000 0.0000 0.0000 Ho
```

Properties
distance to the lowest polymorph of the same formula	10.1	kJ per mole of atoms
crystal system	cubic
formation energy	-27.8	eV/f.u.
calculated density	5.479	Mg/m³
total magnetic moment	1.31	μB per atom
space-group type	F-43m


# 12
Entry from Materials Project: a relaxed structure of BaInFe4O7 (PBE+U).

The structure in POSCAR format:
```
BaInFe4O7
1.0
-2.4049 2.9588 5.0763
-6.0719 -0.9027 1.6196
-1.4335 -3.3135 5.2223
In O Ba Fe
1 7 1 4
direct
0.0000 0.0000 0.0000 In
0.2500 0.2500 0.2500 O
0.2442 0.7558 0.2442 O
0.2442 0.7558 0.7558 O
0.7558 0.2442 0.2442 O
0.7558 0.2442 0.7558 O
0.2442 0.2442 0.7558 O
0.7558 0.7558 0.2442 O
0.7500 0.7500 0.7500 Ba
0.8660 0.3780 0.3780 Fe
0.3780 0.8660 0.3780 Fe
0.3780 0.3780 0.3780 Fe
0.3780 0.3780 0.8660 Fe
```

Properties
crystal system	cubic
formation energy	-21.8	eV/f.u.
calculated density	5.392	Mg/m³
total magnetic moment	1.31	μB per atom
space-group type	F-43m


# 13
Entry from Materials Project: a relaxed structure of BaInFeWO6 (PBE+U).

The structure in POSCAR format:
```
BaInFeWO6
1.0
0.0000 -4.0669 -4.0669
4.0669 0.0000 -4.0669
4.0669 -4.0669 0.0000
O W In Fe Ba
6 1 1 1 1
direct
0.7424 0.2576 0.7424 O
0.7424 0.2576 0.2576 O
0.2576 0.2576 0.7424 O
0.7424 0.7424 0.2576 O
0.2576 0.7424 0.2576 O
0.2576 0.7424 0.7424 O
0.5000 0.5000 0.5000 W
0.7500 0.7500 0.7500 In
0.0000 0.0000 0.0000 Fe
0.2500 0.2500 0.2500 Ba
```

Properties
crystal system	cubic
formation energy	-20.9	eV/f.u.
calculated density	7.256	Mg/m³
total magnetic moment	0.50	μB per atom
space-group type	F-43m